No. 1
Rb2CuMoBr6: optimized geometry, PBE.

Unit cell a=10.660 b=10.660 c=10.660 alpha=90.00 beta=90.00 gamma=90.00
Space group Fm-3m (No. 225)
Inequivalent atoms, fractional coordinates:
1 Rb 0.250 0.250 0.250 [8 per cell]
2 Cu 0.000 0.000 0.000 [4 per cell]
3 Mo 0.000 0.000 0.500 [4 per cell]
4 Br 0.000 0.000 0.252 [24 per cell]

total magnetization = 12.0 μB per cell
crystal system = cubic
V = 302.88 Å³/f.u.
DFT formation energy = -120.5 kJ per mole of atoms

No. 2
CuBr3N2: optimized geometry, PBE.

Unit cell a=12.989 b=3.449 c=12.186 alpha=90.00 beta=90.00 gamma=90.00
Space group Pnma (No. 62)
Inequivalent atoms, fractional coordinates:
1 Cu 0.226 0.250 0.121 [4 per cell]
2 Br 0.059 0.250 0.182 [4 per cell]
3 Br 0.094 0.750 0.613 [4 per cell]
4 Br 0.203 0.250 0.887 [4 per cell]
5 N 0.032 0.250 0.702 [4 per cell]
6 N 0.212 0.750 0.963 [4 per cell]

total magnetization = 0.0 μB per cell
crystal system = orthorhombic
V = 136.47 Å³/f.u.
DFT formation energy = 118.6 kJ per mole of atoms

No. 3
CuBr2N2: optimized geometry, PBE.

Unit cell a=7.674 b=7.775 c=4.031 alpha=90.00 beta=100.55 gamma=90.00
Space group C2/m (No. 12)
Inequivalent atoms, fractional coordinates:
1 Cu 0.000 0.000 0.000 [2 per cell]
2 Br 0.247 0.000 0.422 [4 per cell]
3 N 0.000 0.241 0.000 [4 per cell]

total magnetization = 10.0 μB per cell
crystal system = monoclinic
V = 118.21 Å³/f.u.
DFT formation energy = 149.2 kJ per mole of atoms